## Li2Te2O5 (PBE)

Data for a relaxed structure of Li2Te2O5.

E_tot   -5.339 eV/atom
Calculated formation energy   -1849 meV/atom
Crystal system   monoclinic
Volume   534.3 Å³/cell

```
Li2Te2O5
1.0
-1.529 -3.786 2.650
8.030 -5.848 -3.721
10.955 -0.538 5.554
O Te Li
20 8 8
direct
0.270 0.111 0.656
0.826 0.761 0.670
0.714 0.111 0.495
0.177 0.768 0.288
0.730 0.889 0.344
0.484 0.621 0.045
0.823 0.232 0.712
0.786 0.111 0.995
0.770 0.889 0.844
0.230 0.111 0.156
0.984 0.379 0.455
0.323 0.768 0.788
0.286 0.889 0.505
0.674 0.761 0.170
0.677 0.232 0.212
0.016 0.621 0.545
0.214 0.889 0.005
0.326 0.239 0.830
0.174 0.239 0.330
0.516 0.379 0.955
0.319 0.701 0.149
0.170 0.300 0.625
0.681 0.299 0.851
0.181 0.701 0.649
0.670 0.700 0.875
0.330 0.300 0.125
0.819 0.299 0.351
0.830 0.700 0.375
0.319 0.923 0.325
0.681 0.077 0.675
0.181 0.923 0.825
0.706 0.924 0.491
0.206 0.076 0.009
0.819 0.077 0.175
0.794 0.924 0.991
0.294 0.076 0.509
```